i) DFT (PBE-GGA) results for a relaxed structure of BeO.

Cell lengths 2.701, 4.642, 4.642 Å; angles 90.00, 90.00, 90.00 degrees
Sites, in units of the cell vectors:
O: 0.000 0.311 0.311
O: 0.500 0.189 0.811
O: 0.500 0.811 0.189
Be: 0.500 0.173 0.173
Be: 0.000 0.673 0.327
Be: 0.000 0.327 0.673
Be: 0.500 0.827 0.827
O: 0.000 0.689 0.689



ii) DFT (PBE-GGA) results for a relaxed structure of BeO.

Properties
piezoelectric modulus e_max: 0.094 C/m2

Cell lengths 2.704, 2.704, 2.704 Å; angles 60.00, 60.00, 60.00 degrees
Sites, in units of the cell vectors:
O: 0.750 0.750 0.750
Be: 0.000 0.000 0.000



It is ii) that is the most stable of them.



i) DFT (PBE-GGA) results for a relaxed structure of Be2P2O7.

Cell lengths 4.983, 4.983, 8.891 Å; angles 76.38, 76.38, 96.16 degrees
Sites, in units of the cell vectors:
O: 0.887 0.602 0.109
P: 0.812 0.794 0.704
O: 0.351 0.422 0.135
O: 0.072 0.928 0.250
O: 0.602 0.887 0.609
O: 0.697 0.055 0.105
O: 0.303 0.945 0.895
O: 0.113 0.398 0.891
O: 0.055 0.697 0.605
O: 0.578 0.649 0.365
Be: 0.728 0.391 0.027
P: 0.794 0.812 0.204
O: 0.945 0.303 0.395
O: 0.398 0.113 0.391
O: 0.928 0.072 0.750
Be: 0.609 0.272 0.473
Be: 0.391 0.728 0.527
P: 0.188 0.206 0.296
Be: 0.272 0.609 0.973
O: 0.649 0.578 0.865
P: 0.206 0.188 0.796
O: 0.422 0.351 0.635



ii) DFT (PBE-GGA) results for a relaxed structure of Be2P2O7.

Cell lengths 10.574, 10.574, 8.868 Å; angles 82.57, 82.57, 43.83 degrees
Sites, in units of the cell vectors:
O: 0.132 0.962 0.601
Be: 0.574 0.709 0.379
O: 0.608 0.900 0.615
O: 0.486 0.681 0.514
Be: 0.709 0.574 0.879
O: 0.873 0.793 0.429
O: 0.663 0.064 0.244
P: 0.740 0.779 0.027
O: 0.667 0.274 0.927
Be: 0.506 0.074 0.229
P: 0.221 0.260 0.473
O: 0.454 0.308 0.778
O: 0.916 0.580 0.635
O: 0.319 0.514 0.986
O: 0.692 0.546 0.722
P: 0.260 0.221 0.973
O: 0.392 0.100 0.385
Be: 0.926 0.494 0.271
P: 0.937 0.852 0.807
O: 0.013 0.819 0.191
O: 0.100 0.392 0.885
O: 0.546 0.692 0.222
O: 0.868 0.038 0.399
P: 0.779 0.740 0.527
P: 0.852 0.937 0.307
O: 0.181 0.987 0.309
Be: 0.291 0.426 0.121
O: 0.333 0.726 0.073
Be: 0.146 0.780 0.049
O: 0.793 0.873 0.929
O: 0.337 0.936 0.756
O: 0.322 0.263 0.094
O: 0.900 0.608 0.115
Be: 0.780 0.146 0.549
O: 0.274 0.667 0.427
O: 0.127 0.207 0.571
P: 0.402 0.480 0.364
P: 0.148 0.063 0.693
O: 0.038 0.868 0.899
O: 0.962 0.132 0.101
P: 0.063 0.148 0.193
O: 0.678 0.737 0.906
Be: 0.074 0.506 0.729
O: 0.514 0.319 0.486
O: 0.420 0.084 0.865
Be: 0.426 0.291 0.621
O: 0.819 0.013 0.691
O: 0.936 0.337 0.256
O: 0.084 0.420 0.365
O: 0.726 0.333 0.573
Be: 0.494 0.926 0.771
O: 0.263 0.322 0.594
O: 0.737 0.678 0.406
O: 0.580 0.916 0.135
Be: 0.220 0.854 0.451
O: 0.207 0.127 0.071
O: 0.443 0.557 0.750
Be: 0.854 0.220 0.951
O: 0.987 0.181 0.809
O: 0.308 0.454 0.278
O: 0.064 0.663 0.744
O: 0.557 0.443 0.250
P: 0.520 0.598 0.136
P: 0.480 0.402 0.864
O: 0.681 0.486 0.014
P: 0.598 0.520 0.636



It is i) that is the most stable of them.